A relaxed structure of Mg6TiSb, computed with GGA-PBE.

Cell lengths 5.051, 6.401, 10.738 Å; angles 90.00, 90.00, 90.00 degrees
Fractional coordinates of all 16 atoms:
1 Mg 0.500 0.757 0.919
2 Mg 0.000 0.752 0.084
3 Mg 0.000 0.000 0.833
4 Mg 0.500 0.500 0.165
5 Mg 0.500 0.243 0.919
6 Mg 0.500 0.743 0.419
7 Mg 0.500 0.257 0.419
8 Mg 0.000 0.252 0.584
9 Mg 0.000 0.500 0.333
10 Mg 0.500 0.000 0.665
11 Mg 0.000 0.248 0.084
12 Mg 0.000 0.748 0.584
13 Ti 0.500 0.500 0.669
14 Ti 0.500 0.000 0.169
15 Sb 0.000 0.500 0.826
16 Sb 0.000 0.000 0.326

Its formation energy is -3.3 kJ/mol of atoms. The calculated volume is 21.7 A^3/atom. The total energy comes out at -0.199 Ry per atom. The value obtained for the energy above the most stable polymorph in this dataset is 0 meV per atom. The MP2020-corrected energy comes out at -2.737 eV per atom.